[1]
A geometry-optimized Cs2TeMo3O12 structure. Source: the Materials Project, functional PBE+U.

The structure in extended XYZ format:
```
36
Lattice="-7.372 0.413 -1.370 4.546 -3.412 -4.908 -1.734 -10.977 6.025" Properties=species:S:1:pos:R:3 pbc="T T T"
O -1.979 -4.774 1.495
O 2.631 -5.424 -2.969
O -6.136 -10.598 1.691
O -1.845 -5.255 -3.949
O -3.738 -6.654 -2.437
O -6.592 -4.521 0.628
O -1.362 -10.742 4.061
O -2.062 -0.812 -1.258
O -3.156 -2.098 -3.917
O 1.492 -12.875 0.995
O -0.274 -3.376 -0.073
O -3.434 -10.753 2.186
O -5.093 -9.502 3.989
O -5.140 -0.688 -1.918
O -1.737 -8.350 -1.638
O 1.200 -5.757 -0.639
O -3.121 -12.622 0.128
O 0.158 -6.853 -2.937
O -7.129 -8.160 2.500
O -2.653 -8.329 3.480
O -1.502 -5.602 -1.134
O -4.224 -10.208 -0.396
O 1.340 -8.474 -0.978
O -0.643 -7.063 1.021
Mo -1.918 -6.805 -2.461
Mo -4.881 -11.733 0.969
Mo -6.828 -9.977 3.607
Mo -0.183 -5.437 0.531
Mo -3.146 -10.365 3.961
Mo 1.764 -7.192 -2.108
Cs -3.796 -3.376 -1.170
Cs -4.434 -7.415 1.047
Cs 0.405 -3.201 -3.145
Cs -0.691 -10.139 0.663
Te -1.148 -7.269 3.989
Te -0.281 -1.780 0.977
```

Values from the calculation:
Total DFT energy (no corrections) (eV per atom): -6.392
ΔE_f (eV per atom): -2.00
ρ (g cm⁻³): 4.70

---

[2]
A geometry-optimized MnW2O8 structure. Source: the Materials Project, functional PBE+U.

The structure in extended XYZ format:
```
22
Lattice="-2.085 4.846 2.173 -2.866 0.600 -4.088 -9.543 -4.079 -0.062" Properties=species:S:1:pos:R:3 pbc="T T T"
O -3.304 1.387 -1.010
O -12.073 -1.003 -3.219
O -7.681 1.916 -2.794
O -10.248 -2.750 -2.054
O -4.246 4.117 0.078
O -7.391 -1.703 -1.648
O -4.073 0.682 -3.734
O -7.103 3.070 -0.328
O -6.813 -0.549 0.817
O -10.421 0.685 1.757
O -4.036 -1.025 0.107
O -5.795 0.573 -1.584
O -10.457 2.392 -2.084
O -2.420 2.370 1.243
O -8.698 0.794 -0.392
O -11.189 -0.020 -0.966
W -8.566 2.421 -1.250
W -5.927 -1.054 -0.727
W -11.980 -2.775 -2.696
W -2.514 4.142 0.720
Mn -8.520 0.107 1.374
Mn -3.108 0.660 0.738
```

Values from the calculation:
Total DFT energy (no corrections) (eV per atom): -7.261
ΔE_f (eV per atom): -1.93
ρ (g cm⁻³): 7.01

---

[3]
A geometry-optimized Li2FeCo3O8 structure. Source: the Materials Project, functional PBE+U.

The structure in extended XYZ format:
```
28
Lattice="-1.442 -1.579 5.419 1.709 -8.065 -1.896 5.549 0.703 1.673" Properties=species:S:1:pos:R:3 pbc="T T T"
O 3.795 -4.666 4.515
O 1.452 -5.956 -1.346
O 0.691 -7.010 1.273
O 1.960 -8.956 2.426
O 1.218 -5.154 3.690
O 2.596 -8.259 0.028
O 4.364 -2.987 6.541
O 3.332 -1.837 0.348
O 3.158 -6.596 2.041
O 4.598 -3.788 1.505
O 5.125 -1.932 3.922
O 2.659 -2.346 3.155
O 3.856 0.013 2.769
O 2.021 -4.276 0.681
O 3.220 -0.684 5.167
O 2.484 -7.105 4.848
Co 2.187 -5.261 5.307
Co 0.988 -8.855 0.814
Co 2.308 -6.270 0.351
Co 1.586 -7.059 3.059
Co 3.508 -2.673 4.844
Co 4.230 -1.883 2.136
Fe 3.763 -8.504 1.650
Fe 4.961 -4.909 6.143
Li 4.468 -5.326 2.761
Li 1.349 -3.617 2.435
Li 0.118 -2.432 5.583
Li 5.697 -6.509 -0.387
```

Values from the calculation:
Total DFT energy (no corrections) (eV per atom): -5.786
Energy relative to the lowest polymorph listed for this composition (meV per atom): 105
ΔE_f (eV per atom): -1.46
ρ (g cm⁻³): 4.32

---

[4]
A geometry-optimized Na4NiH38W6O40 structure. Source: the Materials Project, functional PBE+U.

The structure in extended XYZ format:
```
89
Lattice="7.471 0.109 2.569 0.031 9.906 3.800 -0.177 -0.074 12.575" Properties=species:S:1:pos:R:3 pbc="T T T"
H 1.242 7.681 8.025
H 7.233 7.893 7.812
H 6.054 0.668 12.064
H 5.842 5.430 6.657
H 4.067 7.846 12.979
H 4.818 5.566 16.078
H 0.596 0.555 11.150
H 2.507 4.374 2.866
H 3.258 2.094 5.965
H 4.316 1.667 8.971
H 1.767 1.926 5.572
H 1.483 4.511 12.287
H 6.766 7.596 17.320
H 2.829 3.936 10.659
H 2.631 2.126 1.865
H 4.694 7.814 17.079
H 0.091 2.047 11.133
H 0.559 2.344 1.624
H 3.090 9.817 9.638
H 5.557 8.014 13.372
H 3.009 8.273 9.973
H 3.759 5.627 6.898
H 6.729 9.385 7.795
H 0.763 7.191 9.389
H 6.083 2.259 10.920
H 1.271 9.272 6.881
H 6.561 2.749 9.555
H 5.954 5.857 9.851
H 2.066 0.665 1.654
H 5.259 9.275 17.291
H 1.370 4.083 9.094
H 2.550 4.058 8.049
H 4.496 6.004 8.286
H 3.566 4.313 12.046
H 1.769 8.278 5.785
H 5.556 1.662 13.159
H 4.235 0.123 9.306
H 4.775 5.882 10.895
W 0.941 7.270 12.368
W 5.280 2.755 3.400
W 6.331 4.992 13.797
W 0.994 4.948 5.147
W 2.045 7.185 15.545
W 6.384 2.670 6.576
O 1.155 6.875 4.622
O 4.769 5.194 12.957
O 1.777 5.043 3.034
O 0.633 9.014 12.494
O 4.877 2.882 5.301
O 0.684 3.036 4.744
O 1.947 7.107 10.908
O 2.265 3.686 8.907
O 4.483 6.173 7.306
O 2.476 1.518 6.135
O 1.843 1.511 13.862
O 2.842 3.767 11.639
O 6.692 0.926 6.451
O 7.223 2.998 4.469
O 7.338 5.328 9.045
O 3.698 6.825 16.162
O 5.244 0.963 12.534
O 5.414 0.993 3.215
O 0.434 7.601 8.562
O 6.640 6.904 14.201
O 6.170 3.065 14.323
O 3.767 0.992 9.440
O 2.080 8.977 6.410
O 2.555 4.746 5.988
O 0.102 6.942 14.475
O 5.060 6.254 10.037
O 2.447 7.058 13.644
O 5.482 8.429 5.082
O 6.607 8.525 8.243
O 0.717 1.415 10.702
O 5.378 2.833 8.036
O 1.911 8.947 15.730
O 0.675 5.035 12.600
O 3.627 3.115 2.782
O 5.548 4.897 15.910
O 6.649 4.905 6.344
O 3.558 8.948 9.505
O 4.849 8.422 12.809
O 6.891 2.339 10.382
O -0.013 4.613 9.900
Na 1.558 1.364 8.420
Na 2.935 1.343 11.646
Na 4.389 8.597 7.299
Na 5.767 8.576 10.524
Ni 0.016 4.953 1.900
```

Values from the calculation:
Total DFT energy (no corrections) (eV per atom): -5.602
Energy relative to the lowest polymorph listed for this composition (meV per atom): 0
ΔE_f (eV per atom): -1.57
ρ (g cm⁻³): 3.42

---

[5]
A geometry-optimized MnP2O7 structure. Source: the Materials Project, functional PBE+U.

The structure in extended XYZ format:
```
20
Lattice="6.382 -0.011 0.699 -0.011 6.346 2.617 -0.002 0.085 6.217" Properties=species:S:1:pos:R:3 pbc="T T T"
O 4.469 0.122 2.553
O 2.890 1.709 1.476
O 5.811 0.145 5.475
O 5.274 2.423 1.937
O 5.720 4.541 6.207
O 5.372 4.515 3.794
O 0.998 1.906 5.739
O 2.746 4.298 5.642
O 0.650 1.880 3.326
O 1.096 3.997 7.597
O 1.901 6.299 6.982
O 0.558 6.275 4.058
O 3.479 4.710 8.057
O 3.624 2.122 3.891
P 4.012 1.666 2.529
P 2.357 4.755 7.006
P 5.656 5.439 4.970
P 0.714 0.982 4.564
Mn 5.455 4.600 8.097
Mn 0.915 1.819 1.436
```

Values from the calculation:
Total DFT energy (no corrections) (eV per atom): -7.097
Energy relative to the lowest polymorph listed for this composition (meV per atom): 102
ΔE_f (eV per atom): -2.28
ρ (g cm⁻³): 3.04

---

[6]
A geometry-optimized MnH11C5NO6 structure. Source: the Materials Project, functional PBE+U.

The structure in extended XYZ format:
```
96
Lattice="-3.828 -4.449 -5.957 8.005 -3.869 -2.254 -2.067 -8.943 8.007" Properties=species:S:1:pos:R:3 pbc="T T T"
N 0.811 -8.800 -5.355
N 1.381 -8.106 4.832
N -1.495 -4.894 -1.587
N 3.687 -12.012 1.065
H 3.810 -8.976 1.088
H 3.899 -7.604 -1.943
H 2.473 -5.205 2.017
H 3.048 -10.299 4.186
H -1.163 -7.932 -3.523
H 7.110 -6.297 -0.695
H -2.031 -5.358 -2.349
H 3.090 -11.372 0.476
H -2.832 -12.909 -0.215
H 4.246 -11.447 1.736
H -0.604 -12.269 -2.087
H 1.734 -5.959 -1.705
H -4.016 -9.412 1.690
H 3.746 -8.814 -3.241
H 1.222 -8.164 -4.643
H -4.971 -10.839 0.377
H -0.177 -10.817 5.748
H 3.505 -13.124 4.122
H 3.188 -2.941 0.046
H -1.992 -10.536 2.525
H 6.273 -7.214 -2.464
H 0.588 -14.124 -0.817
H -0.641 -4.424 -1.993
H 5.170 -4.257 -0.304
H 5.343 -7.023 -3.956
H 4.745 -9.151 -1.804
H -2.722 -11.539 -1.212
H 0.405 -11.177 1.388
H 1.399 -10.285 -2.515
H 2.848 -4.609 -0.438
H -2.759 -8.187 1.916
H 0.993 -8.641 4.030
H -0.041 -6.865 2.450
H -2.283 -7.978 -0.888
H 3.042 -12.668 1.570
H -1.860 -9.416 3.903
H -3.206 -10.580 3.810
H -0.934 -14.527 -0.010
H -0.591 -12.017 -0.336
H 1.319 -4.016 1.398
H -1.164 -5.594 -0.879
H 4.710 -5.354 0.906
H -0.859 -4.648 -4.549
H 2.992 -6.758 -5.912
C 6.120 -10.778 3.439
C -2.149 -9.078 -0.882
C -0.502 -6.239 1.658
C 5.171 -4.240 -2.853
C -3.388 -8.920 2.438
C 0.645 -10.555 2.275
C 5.637 -7.741 -3.180
C 3.754 -7.879 0.925
C 4.435 -8.371 -2.512
C -1.453 -8.627 -4.318
C 1.013 -2.486 -1.967
C 1.465 -6.707 -2.480
C -2.565 -13.362 2.433
C 3.326 -9.657 5.030
C -0.954 -12.676 -1.130
C 1.691 -15.002 1.700
C -4.010 -6.483 -3.644
C 2.009 -10.832 -1.768
C -2.562 -9.913 3.224
C 3.202 -3.984 0.387
O 0.851 -3.591 -2.593
O 1.742 -13.847 2.245
O 2.670 -7.388 0.507
O -3.258 -5.513 -3.993
O 0.815 -9.304 2.089
O 2.026 -10.354 -0.580
O 2.441 -15.397 0.766
O -3.453 -13.298 1.516
O 3.926 -4.376 -2.691
O 0.988 -7.814 -2.098
O 0.733 -11.129 3.399
O -3.997 -7.021 -2.499
O -1.047 -9.556 -0.495
O 2.629 -11.870 -2.131
O 6.023 -4.166 -1.900
O 4.812 -7.210 1.186
O 5.731 -10.178 2.383
O 0.250 -2.062 -1.055
O -0.383 -6.661 0.457
O -3.147 -9.779 -1.273
O 5.718 -11.922 3.800
O 1.657 -6.387 -3.700
O -1.098 -5.180 1.999
O -1.327 -13.190 2.258
Mn 2.311 -4.293 -4.193
Mn -3.576 -4.549 -6.000
Mn 0.832 -8.501 -0.011
Mn 6.719 -8.245 1.795
```

Values from the calculation:
Total DFT energy (no corrections) (eV per atom): -6.089
Energy relative to the lowest polymorph listed for this composition (meV per atom): 0
ΔE_f (eV per atom): -0.89
ρ (g cm⁻³): 1.68

---

The records above give, respectively, spin magnetization values of 0.0 6.0 12.6 2.0 6.0 20.0 μB per cell.